Na6Ta6Al2Si9S3O48 PBE-GGA relaxed; calculated formation energy = -2933.8 meV/atom; symmetry = P1 (1); corrected total energy (MP2020 scheme) = -0.299 hartree per atom
1.0
17.673 0.004 -0.015
-4.417 7.647 -0.003
-0.019 -0.019 22.656
Na O Ta Si Al S
18 144 18 27 6 9
Direct
0.002 0.007 0.500
0.331 0.339 0.332
0.995 0.366 0.748
0.670 0.669 0.165
0.831 0.325 0.828
0.837 0.340 0.335
0.502 0.998 0.998
0.185 0.004 0.745
0.663 0.669 0.663
0.171 0.672 0.664
0.683 0.367 0.247
0.320 0.010 0.250
0.820 0.631 0.749
0.337 0.334 0.832
0.004 0.012 0.995
0.504 0.999 0.497
0.167 0.660 0.167
0.495 0.622 0.250
0.079 0.189 0.407
0.487 0.791 0.804
0.246 0.169 0.239
0.484 0.157 0.307
0.747 0.324 0.740
0.082 0.970 0.193
0.510 0.846 0.406
0.412 0.306 0.241
0.319 0.128 0.420
0.154 0.476 0.473
0.099 0.034 0.306
0.398 0.971 0.409
0.917 0.803 0.306
0.922 0.035 0.808
0.758 0.682 0.256
0.320 0.121 0.139
0.245 0.128 0.645
0.075 0.974 0.906
0.425 0.354 0.926
0.020 0.841 0.694
0.586 0.473 0.975
0.267 0.698 0.974
0.655 0.834 0.974
0.751 0.147 0.923
0.261 0.700 0.258
0.582 0.194 0.693
0.920 0.028 0.093
0.902 0.964 0.694
0.820 0.144 0.422
0.567 0.640 0.356
0.681 0.506 0.075
0.180 0.856 0.575
0.581 0.699 0.471
0.576 0.176 0.405
0.093 0.164 0.093
0.590 0.970 0.196
0.078 0.464 0.255
0.750 0.866 0.358
0.178 0.508 0.077
0.340 0.178 0.742
0.579 0.971 0.909
0.182 0.501 0.359
0.762 0.823 0.759
0.014 0.836 0.411
0.403 0.840 0.194
0.420 0.533 0.745
0.756 0.642 0.578
0.734 0.160 0.242
0.987 0.160 0.593
0.256 0.872 0.361
0.520 0.199 0.194
0.253 0.363 0.143
0.843 0.504 0.240
0.514 0.190 0.911
0.014 0.209 0.196
0.925 0.495 0.425
0.092 0.024 0.592
0.902 0.831 0.192
0.821 0.519 0.639
0.349 0.524 0.245
0.682 0.492 0.359
0.757 0.637 0.862
0.607 0.035 0.302
0.150 0.831 0.975
0.487 0.165 0.588
0.420 0.809 0.593
0.089 0.209 0.697
0.417 0.303 0.525
0.253 0.352 0.422
0.600 0.166 0.807
0.913 0.519 0.742
0.578 0.691 0.757
0.253 0.866 0.078
0.487 0.813 0.093
0.569 0.502 0.860
0.593 0.160 0.091
0.234 0.303 0.026
0.594 0.020 0.593
0.984 0.183 0.303
0.066 0.642 0.079
0.069 0.638 0.359
0.317 0.490 0.645
0.908 0.979 0.407
0.570 0.642 0.078
0.767 0.832 0.475
0.422 0.812 0.308
0.899 0.825 0.910
0.986 0.797 0.090
0.320 0.495 0.922
0.349 0.534 0.527
0.740 0.310 0.027
0.515 0.818 0.697
0.426 0.491 0.422
0.105 0.178 0.803
0.915 0.305 0.527
0.651 0.469 0.474
0.586 0.484 0.256
0.928 0.367 0.926
0.822 0.152 0.144
0.921 0.311 0.241
0.402 0.969 0.692
0.251 0.142 0.926
0.752 0.360 0.425
0.683 0.863 0.858
0.347 0.151 0.031
0.232 0.308 0.744
0.067 0.495 0.856
0.409 0.839 0.908
0.984 0.811 0.808
0.937 0.513 0.138
0.416 0.028 0.806
0.850 0.169 0.027
0.070 0.498 0.578
0.821 0.511 0.924
0.085 0.688 0.757
0.431 0.496 0.146
0.848 0.542 0.531
0.576 0.506 0.577
0.849 0.174 0.745
0.082 0.466 0.972
0.150 0.463 0.755
0.009 0.174 0.907
0.271 0.845 0.469
0.682 0.854 0.576
0.754 0.145 0.643
0.250 0.644 0.576
0.415 0.525 0.027
0.652 0.841 0.254
0.734 0.167 0.527
0.182 0.869 0.860
0.913 0.798 0.589
0.249 0.633 0.858
0.086 0.700 0.474
0.771 0.695 0.969
0.412 0.025 0.089
0.750 0.857 0.076
0.747 0.364 0.145
0.435 0.370 0.643
0.657 0.481 0.760
0.235 0.169 0.526
0.259 0.833 0.757
0.931 0.366 0.647
0.924 0.543 0.031
0.156 0.831 0.258
0.662 0.667 0.810
0.002 0.987 0.357
0.169 0.679 0.815
0.830 0.314 0.978
0.165 0.661 0.313
0.335 0.346 0.482
0.330 0.341 0.976
0.998 0.993 0.644
0.502 0.016 0.855
0.498 0.002 0.145
0.660 0.668 0.518
0.166 0.655 0.016
0.000 0.998 0.145
0.660 0.665 0.027
0.669 0.659 0.317
0.160 0.654 0.527
0.829 0.317 0.477
0.499 0.012 0.640
0.333 0.614 0.589
0.313 0.671 0.915
0.856 0.700 0.248
0.358 0.713 0.254
0.019 0.363 0.913
0.523 0.383 0.918
0.811 0.951 0.417
0.833 0.051 0.089
0.664 0.950 0.916
0.477 0.340 0.584
0.693 0.050 0.588
0.518 0.675 0.413
0.497 0.284 0.253
0.691 0.334 0.085
0.168 0.377 0.417
0.859 0.004 0.753
0.970 0.329 0.588
0.192 0.050 0.585
0.660 0.361 0.418
0.357 0.012 0.747
0.470 0.611 0.088
0.193 0.336 0.087
0.148 0.009 0.248
0.022 0.660 0.419
0.648 0.286 0.748
0.997 0.711 0.753
0.159 0.957 0.918
0.830 0.338 0.181
0.832 0.311 0.691
0.496 0.998 0.355
0.336 0.322 0.677
0.997 0.996 0.854
0.332 0.353 0.192
0.832 0.616 0.584
0.812 0.670 0.917
0.145 0.287 0.751
0.331 0.046 0.085
0.646 0.004 0.250
0.313 0.955 0.417
0.495 0.707 0.750
0.976 0.618 0.084
0.996 0.287 0.249